Entry from Materials Project: a relaxed Mg15Bi crystal (PBE-GGA).

Cell: 6.413 6.413 10.528 Å, 90.00 90.00 120.00°
Element x y z (fractional)
Mg 0.000 0.000 0.750
Mg 0.000 0.000 0.250
Mg 0.166 0.834 0.000
Mg 0.668 0.834 0.000
Mg 0.498 0.502 0.253
Mg 0.667 0.333 0.500
Mg 0.498 0.996 0.253
Mg 0.498 0.502 0.747
Mg 0.167 0.833 0.500
Mg 0.167 0.333 0.500
Mg 0.667 0.833 0.500
Mg 0.498 0.996 0.747
Mg 0.166 0.332 0.000
Mg 0.004 0.502 0.747
Mg 0.004 0.502 0.253
Bi 0.667 0.333 0.000

Computed properties:
For the total energy, the calculation gives -1.755 eV/atom. As for the energy relative to the elements: -1 kJ/mol of atoms. The calculation puts the volume at 375 Å³ per cell.